# 1
Below is InPH2O5 after structural relaxation, with properties calculated at the PBE level.

Properties
- crystal system = triclinic
- energy of formation (eV/atom) = -2.08
- density (g cm⁻³) = 3.9

a b c (Å): 5.516 5.568 6.651
angles (deg): 97.18 94.36 107.22
Element x y z (fractional)
In  0.139  0.233  0.221
In  0.861  0.767  0.779
P  0.235  0.376  0.744
P  0.765  0.624  0.256
H  0.406  0.854  0.260
H  0.420  0.871  0.785
H  0.580  0.129  0.215
H  0.594  0.146  0.740
O  0.084  0.271  0.533
O  0.140  0.162  0.882
O  0.178  0.621  0.838
O  0.421  0.038  0.268
O  0.472  0.569  0.253
O  0.528  0.431  0.747
O  0.579  0.962  0.732
O  0.822  0.379  0.162
O  0.860  0.838  0.118
O  0.916  0.729  0.467

***

# 2
Below is RbInPHO5 after structural relaxation, with properties calculated at the PBE level.

Properties
- crystal system = tetragonal
- energy of formation (eV/atom) = -2.30
- density (g cm⁻³) = 4.0

a b c (Å): 9.542 9.542 11.377
angles (deg): 90.00 90.00 90.00
Element x y z (fractional)
Rb  0.016  0.316  0.454
Rb  0.184  0.516  0.204
Rb  0.316  0.016  0.546
Rb  0.484  0.816  0.296
Rb  0.516  0.184  0.796
Rb  0.684  0.984  0.046
Rb  0.816  0.484  0.704
Rb  0.984  0.684  0.954
In  0.100  0.900  0.250
In  0.153  0.153  0.000
In  0.347  0.653  0.750
In  0.400  0.400  0.500
In  0.600  0.600  0.000
In  0.653  0.347  0.250
In  0.847  0.847  0.500
In  0.900  0.100  0.750
P  0.160  0.685  0.497
P  0.185  0.340  0.747
P  0.315  0.840  0.003
P  0.340  0.185  0.253
P  0.660  0.815  0.753
P  0.685  0.160  0.503
P  0.815  0.660  0.247
P  0.840  0.315  0.997
H  0.041  0.878  0.657
H  0.122  0.959  0.843
H  0.378  0.459  0.907
H  0.459  0.378  0.093
H  0.541  0.622  0.593
H  0.622  0.541  0.407
H  0.878  0.041  0.343
H  0.959  0.122  0.157
O  0.001  0.328  0.010
O  0.015  0.045  0.124
O  0.037  0.280  0.718
O  0.045  0.015  0.876
O  0.172  0.501  0.760
O  0.201  0.784  0.393
O  0.216  0.799  0.107
O  0.220  0.537  0.468
O  0.224  0.749  0.611
O  0.249  0.276  0.861
O  0.251  0.776  0.889
O  0.276  0.249  0.139
O  0.280  0.037  0.282
O  0.284  0.299  0.643
O  0.299  0.284  0.357
O  0.328  0.001  0.990
O  0.455  0.515  0.874
O  0.463  0.780  0.032
O  0.485  0.545  0.626
O  0.499  0.828  0.740
O  0.501  0.172  0.240
O  0.515  0.455  0.126
O  0.537  0.220  0.532
O  0.545  0.485  0.374
O  0.672  0.999  0.490
O  0.701  0.716  0.857
O  0.716  0.701  0.143
O  0.720  0.963  0.782
O  0.724  0.751  0.639
O  0.749  0.224  0.389
O  0.751  0.724  0.361
O  0.776  0.251  0.111
O  0.780  0.463  0.968
O  0.784  0.201  0.607
O  0.799  0.216  0.893
O  0.828  0.499  0.260
O  0.955  0.985  0.376
O  0.963  0.720  0.218
O  0.985  0.955  0.624
O  0.999  0.672  0.510

***

# 3
Below is InH11S2O13 after structural relaxation, with properties calculated at the PBE level.

Properties
- crystal system = monoclinic
- energy of formation (eV/atom) = -1.51
- density (g cm⁻³) = 2.5

a b c (Å): 10.533 10.897 9.282
angles (deg): 90.00 99.51 90.00
Element x y z (fractional)
In  0.209  0.137  0.094
In  0.209  0.363  0.594
In  0.791  0.637  0.406
In  0.791  0.863  0.906
H  0.088  0.177  0.395
H  0.088  0.323  0.895
H  0.095  0.130  0.564
H  0.095  0.370  0.064
H  0.144  0.690  0.593
H  0.144  0.810  0.093
H  0.223  0.677  0.082
H  0.223  0.823  0.582
H  0.249  0.710  0.462
H  0.249  0.790  0.962
H  0.324  0.520  0.822
H  0.324  0.980  0.322
H  0.343  0.582  0.343
H  0.343  0.918  0.843
H  0.346  0.023  0.575
H  0.346  0.477  0.075
H  0.393  0.714  0.325
H  0.393  0.786  0.825
H  0.409  0.527  0.697
H  0.409  0.973  0.197
H  0.418  0.597  0.047
H  0.418  0.903  0.547
H  0.582  0.097  0.453
H  0.582  0.403  0.953
H  0.591  0.027  0.803
H  0.591  0.473  0.303
H  0.607  0.214  0.175
H  0.607  0.286  0.675
H  0.654  0.523  0.925
H  0.654  0.977  0.425
H  0.657  0.082  0.157
H  0.657  0.418  0.657
H  0.676  0.020  0.678
H  0.676  0.480  0.178
H  0.751  0.210  0.038
H  0.751  0.290  0.538
H  0.777  0.177  0.418
H  0.777  0.323  0.918
H  0.856  0.190  0.907
H  0.856  0.310  0.407
H  0.905  0.630  0.936
H  0.905  0.870  0.436
H  0.912  0.677  0.105
H  0.912  0.823  0.605
S  0.026  0.019  0.792
S  0.026  0.481  0.292
S  0.398  0.191  0.853
S  0.398  0.309  0.353
S  0.602  0.691  0.647
S  0.602  0.809  0.147
S  0.974  0.519  0.708
S  0.974  0.981  0.208
O  0.053  0.629  0.699
O  0.053  0.871  0.199
O  0.057  0.097  0.218
O  0.057  0.403  0.718
O  0.090  0.016  0.663
O  0.090  0.484  0.163
O  0.109  0.202  0.499
O  0.109  0.298  0.999
O  0.126  0.005  0.928
O  0.126  0.495  0.428
O  0.187  0.748  0.530
O  0.187  0.752  0.030
O  0.270  0.238  0.779
O  0.270  0.262  0.279
O  0.319  0.516  0.713
O  0.319  0.669  0.349
O  0.319  0.831  0.849
O  0.319  0.984  0.213
O  0.346  0.543  0.004
O  0.346  0.957  0.504
O  0.387  0.174  0.013
O  0.387  0.326  0.513
O  0.425  0.069  0.790
O  0.425  0.431  0.290
O  0.497  0.722  0.157
O  0.497  0.778  0.657
O  0.503  0.222  0.343
O  0.503  0.278  0.843
O  0.575  0.569  0.710
O  0.575  0.931  0.210
O  0.613  0.674  0.487
O  0.613  0.826  0.987
O  0.654  0.043  0.496
O  0.654  0.457  0.996
O  0.681  0.016  0.787
O  0.681  0.169  0.151
O  0.681  0.331  0.651
O  0.681  0.484  0.287
O  0.730  0.738  0.721
O  0.730  0.762  0.221
O  0.813  0.248  0.970
O  0.813  0.252  0.470
O  0.874  0.505  0.572
O  0.874  0.995  0.072
O  0.891  0.702  0.001
O  0.891  0.798  0.501
O  0.910  0.516  0.837
O  0.910  0.984  0.337
O  0.943  0.597  0.282
O  0.943  0.903  0.782
O  0.947  0.129  0.801
O  0.947  0.371  0.301

***

# 4
Below is InHSeO4 after structural relaxation, with properties calculated at the PBE level.

Properties
- crystal system = orthorhombic
- energy of formation (eV/atom) = -1.41
- density (g cm⁻³) = 4.6
- distance to the lowest polymorph of the same formula (meV per atom) = 121

a b c (Å): 11.775 4.937 6.427
angles (deg): 90.00 90.00 90.00
Element x y z (fractional)
In  0.010  0.013  0.000
In  0.490  0.513  0.500
In  0.510  0.487  0.000
In  0.990  0.987  0.500
H  0.132  0.480  0.597
H  0.368  0.980  0.097
H  0.632  0.020  0.597
H  0.868  0.520  0.097
Se  0.195  0.518  0.251
Se  0.305  0.018  0.751
Se  0.695  0.982  0.251
Se  0.805  0.482  0.751
O  0.074  0.728  0.246
O  0.084  0.833  0.744
O  0.150  0.336  0.494
O  0.165  0.278  0.072
O  0.335  0.778  0.572
O  0.350  0.836  0.994
O  0.416  0.333  0.244
O  0.426  0.228  0.746
O  0.574  0.772  0.246
O  0.584  0.667  0.744
O  0.650  0.164  0.494
O  0.665  0.222  0.072
O  0.835  0.722  0.572
O  0.850  0.664  0.994
O  0.916  0.167  0.244
O  0.926  0.272  0.746

***

# 5
Below is InHSeO4 after structural relaxation, with properties calculated at the PBE level.

Properties
- crystal system = triclinic
- energy of formation (eV/atom) = -1.53
- density (g cm⁻³) = 4.5
- distance to the lowest polymorph of the same formula (meV per atom) = 0

a b c (Å): 5.782 8.190 8.302
angles (deg): 87.63 79.52 83.04
Element x y z (fractional)
In  0.103  0.023  0.187
In  0.310  0.687  0.485
In  0.690  0.313  0.515
In  0.897  0.977  0.813
H  0.151  0.239  0.393
H  0.494  0.075  0.698
H  0.506  0.925  0.302
H  0.849  0.761  0.607
Se  0.103  0.356  0.764
Se  0.429  0.731  0.880
Se  0.571  0.269  0.120
Se  0.897  0.644  0.236
O  0.004  0.216  0.359
O  0.149  0.153  0.706
O  0.152  0.569  0.304
O  0.166  0.865  0.961
O  0.328  0.436  0.614
O  0.351  0.885  0.314
O  0.358  0.183  0.048
O  0.475  0.787  0.676
O  0.525  0.213  0.324
O  0.642  0.817  0.952
O  0.649  0.115  0.686
O  0.672  0.564  0.386
O  0.834  0.135  0.039
O  0.848  0.431  0.696
O  0.851  0.847  0.294
O  0.996  0.784  0.641

***

# 6
Below is In2H5Se3O12 after structural relaxation, with properties calculated at the PBE level.

Properties
- crystal system = triclinic
- energy of formation (eV/atom) = -0.98
- density (g cm⁻³) = 2.8

a b c (Å): 6.106 11.383 11.728
angles (deg): 91.30 91.92 105.38
Element x y z (fractional)
In  0.000  0.000  0.000
In  0.000  0.000  0.500
In  0.292  0.604  0.234
In  0.708  0.396  0.766
H  0.067  0.486  0.261
H  0.142  0.900  0.955
H  0.223  0.587  0.591
H  0.296  0.550  0.896
H  0.396  0.997  0.662
H  0.604  0.003  0.338
H  0.704  0.450  0.104
H  0.777  0.413  0.409
H  0.858  0.100  0.045
H  0.933  0.514  0.739
Se  0.263  0.897  0.260
Se  0.414  0.311  0.013
Se  0.460  0.300  0.492
Se  0.540  0.700  0.508
Se  0.586  0.689  0.987
Se  0.737  0.103  0.740
O  0.138  0.993  0.202
O  0.193  0.863  0.392
O  0.221  0.770  0.176
O  0.223  0.355  0.084
O  0.243  0.655  0.539
O  0.315  0.638  0.912
O  0.328  0.392  0.433
O  0.371  0.155  0.453
O  0.382  0.165  0.989
O  0.435  0.039  0.738
O  0.454  0.392  0.889
O  0.459  0.309  0.637
O  0.541  0.691  0.363
O  0.546  0.608  0.111
O  0.565  0.961  0.262
O  0.618  0.835  0.011
O  0.629  0.845  0.547
O  0.672  0.608  0.567
O  0.685  0.362  0.088
O  0.757  0.345  0.461
O  0.777  0.645  0.916
O  0.779  0.230  0.824
O  0.807  0.137  0.608
O  0.862  0.007  0.798

***

# 7
Below is RbInH3 after structural relaxation, with properties calculated at the PBE level.

Properties
- crystal system = cubic
- energy of formation (eV/atom) = -0.05
- density (g cm⁻³) = 3.9

a b c (Å): 6.257 6.257 6.257
angles (deg): 60.00 60.00 60.00
Element x y z (fractional)
Rb  0.250  0.250  0.250
Rb  0.750  0.750  0.750
In  0.000  0.000  0.000
In  0.500  0.500  0.500
H  0.225  0.225  0.775
H  0.225  0.775  0.225
H  0.225  0.775  0.775
H  0.775  0.225  0.225
H  0.775  0.225  0.775
H  0.775  0.775  0.225

***

# 8
Below is HIr after structural relaxation, with properties calculated at the PBE level.

Properties
- crystal system = hexagonal
- energy of formation (eV/atom) = 0.42
- density (g cm⁻³) = 17.2

a b c (Å): 2.789 2.789 5.537
angles (deg): 90.00 90.00 120.00
Element x y z (fractional)
H  0.333  0.667  0.000
H  0.667  0.333  0.500
Ir  0.333  0.667  0.319
Ir  0.667  0.333  0.819

***

# 9
Below is Li3H6Ir after structural relaxation, with properties calculated at the PBE level.

Properties
- crystal system = orthorhombic
- energy of formation (eV/atom) = -0.46
- density (g cm⁻³) = 4.2

a b c (Å): 8.497 4.760 8.550
angles (deg): 90.00 90.00 90.00
Element x y z (fractional)
Li  0.042  0.250  0.129
Li  0.106  0.750  0.525
Li  0.227  0.250  0.743
Li  0.273  0.750  0.243
Li  0.394  0.250  0.025
Li  0.458  0.750  0.629
Li  0.542  0.250  0.371
Li  0.606  0.750  0.975
Li  0.727  0.250  0.757
Li  0.773  0.750  0.257
Li  0.894  0.250  0.475
Li  0.958  0.750  0.871
H  0.104  0.007  0.323
H  0.104  0.493  0.323
H  0.111  0.250  0.557
H  0.156  0.501  0.971
H  0.156  0.999  0.971
H  0.164  0.750  0.738
H  0.336  0.250  0.238
H  0.344  0.001  0.471
H  0.344  0.499  0.471
H  0.389  0.750  0.057
H  0.396  0.507  0.823
H  0.396  0.993  0.823
H  0.604  0.007  0.177
H  0.604  0.493  0.177
H  0.611  0.250  0.943
H  0.656  0.501  0.529
H  0.656  0.999  0.529
H  0.664  0.750  0.762
H  0.836  0.250  0.262
H  0.844  0.001  0.029
H  0.844  0.499  0.029
H  0.889  0.750  0.443
H  0.896  0.507  0.677
H  0.896  0.993  0.677
Ir  0.225  0.250  0.398
Ir  0.275  0.750  0.898
Ir  0.725  0.250  0.102
Ir  0.775  0.750  0.602

***

# 10
Below is Na2H6Ir after structural relaxation, with properties calculated at the PBE level.

Properties
- crystal system = cubic
- energy of formation (eV/atom) = -0.08
- density (g cm⁻³) = 4.0

a b c (Å): 5.223 5.223 5.223
angles (deg): 60.00 60.00 60.00
Element x y z (fractional)
Na  0.250  0.250  0.250
Na  0.750  0.750  0.750
H  0.228  0.228  0.772
H  0.228  0.772  0.228
H  0.228  0.772  0.772
H  0.772  0.228  0.228
H  0.772  0.228  0.772
H  0.772  0.772  0.228
Ir  0.000  0.000  0.000